Record 1
Material: Ba10MgMn6O24F2
Method: DFT, GGA+U
State: optimized geometry

Lattice parameters (Å, degrees): 10.495 8.167 10.503 90.00 118.33 90.00
Sites, in units of the cell vectors:
Ba 0.000 0.000 0.000
Ba 0.019 0.500 0.819
Ba 0.217 0.000 0.752
Ba 0.245 0.500 0.243
Ba 0.483 0.500 0.021
Ba 0.507 0.000 0.284
Ba 0.552 0.245 0.665
Ba 0.552 0.755 0.665
Ba 0.926 0.296 0.407
Ba 0.926 0.704 0.407
Mg 0.854 0.000 0.242
Mn 0.227 0.500 0.629
Mn 0.254 0.000 0.398
Mn 0.578 0.000 0.948
Mn 0.639 0.500 0.404
Mn 0.848 0.000 0.627
Mn 0.864 0.500 0.042
O 0.045 0.000 0.277
O 0.146 0.500 0.442
O 0.153 0.333 0.670
O 0.153 0.667 0.670
O 0.331 0.172 0.358
O 0.331 0.828 0.358
O 0.344 0.000 0.592
O 0.410 0.500 0.716
O 0.473 0.171 0.889
O 0.473 0.829 0.889
O 0.535 0.500 0.488
O 0.610 0.331 0.296
O 0.610 0.669 0.296
O 0.654 0.000 0.135
O 0.660 0.000 0.563
O 0.710 0.000 0.896
O 0.742 0.500 0.861
O 0.789 0.500 0.159
O 0.824 0.500 0.526
O 0.869 0.000 0.441
O 0.941 0.165 0.742
O 0.941 0.835 0.742
O 0.978 0.334 0.079
O 0.978 0.666 0.079
F 0.260 0.323 0.023
F 0.260 0.677 0.023

volume = 18.427 A^3/atom
relative energy among the computed polymorphs = 89 meV per atom
E_tot = -6.43 eV/atom
formation energy = -2.450 eV per atom

***

Record 2
Material: Ba2MnAl2CuF14
Method: DFT, GGA+U
State: optimized geometry

Lattice parameters (Å, degrees): 7.442 7.442 14.552 91.99 91.99 41.41
Sites, in units of the cell vectors:
Ba 0.129 0.249 0.121
Ba 0.249 0.129 0.621
Ba 0.751 0.871 0.379
Ba 0.871 0.751 0.879
Mn 0.425 0.575 0.250
Mn 0.575 0.425 0.750
Al 0.102 0.136 0.374
Al 0.136 0.102 0.874
Al 0.864 0.898 0.126
Al 0.898 0.864 0.626
Cu 0.500 0.500 0.000
Cu 0.500 0.500 0.500
F 0.037 0.648 0.220
F 0.075 0.920 0.344
F 0.080 0.925 0.156
F 0.121 0.712 0.525
F 0.125 0.610 0.047
F 0.160 0.327 0.404
F 0.173 0.598 0.704
F 0.288 0.879 0.975
F 0.327 0.160 0.904
F 0.352 0.963 0.280
F 0.390 0.875 0.453
F 0.394 0.491 0.879
F 0.402 0.827 0.796
F 0.491 0.394 0.379
F 0.509 0.606 0.621
F 0.598 0.173 0.204
F 0.606 0.509 0.121
F 0.610 0.125 0.547
F 0.648 0.037 0.720
F 0.673 0.840 0.096
F 0.712 0.121 0.025
F 0.827 0.402 0.296
F 0.840 0.673 0.596
F 0.875 0.390 0.953
F 0.879 0.288 0.475
F 0.920 0.075 0.844
F 0.925 0.080 0.656
F 0.963 0.352 0.780

volume = 13.318 A^3/atom
E_tot = -5.70 eV/atom
formation energy = -3.542 eV per atom